[1]
Li2Ni3SbO8 (PBE+U, optimized geometry); ΔE_f = -1.525 eV per atom; uncorrected energy = -146.20 eV for the cell shown; size of the total moment = 6.00 μB per cell
1.0
5.852 0.000 0.000
-2.926 5.068 0.000
0.000 0.000 9.527
Li Ni Sb O
4 6 2 16
Cartesian
0.000 0.000 0.000
0.000 0.000 4.764
0.000 3.379 3.852
2.926 1.689 8.616
0.000 1.726 6.889
-1.432 4.205 6.889
1.495 0.863 2.126
1.432 4.205 6.889
4.358 0.863 2.126
2.926 3.342 2.126
0.000 3.379 9.510
2.926 1.689 4.746
0.000 0.000 2.923
0.000 0.000 7.687
-1.318 2.618 8.110
0.000 1.644 1.000
-1.502 4.246 1.000
1.424 0.822 5.764
0.000 3.379 5.974
1.318 2.618 8.110
0.000 4.900 8.110
2.926 0.168 3.347
1.608 2.450 3.347
2.926 1.689 1.210
1.502 4.246 1.000
4.428 0.822 5.764
2.926 3.424 5.764
4.244 2.450 3.347

***

[2]
Li2Mn3F8 (PBE+U, optimized geometry); ΔE_f = -2.967 eV per atom; uncorrected energy = -152.97 eV for the cell shown; size of the total moment = 30.00 μB per cell
1.0
5.827 0.000 0.000
0.000 8.736 0.000
-4.761 0.000 8.146
Li Mn F
4 6 16
Cartesian
-0.148 1.720 1.556
-2.528 2.648 5.629
3.594 6.088 2.517
1.214 7.016 6.590
-0.005 1.280 4.924
2.375 3.088 0.851
2.914 0.000 0.000
0.533 4.368 4.073
-1.309 5.648 7.295
1.071 7.457 3.222
-0.480 6.072 3.167
-2.860 7.032 7.240
1.268 1.343 0.306
-1.113 3.025 4.379
-0.030 0.482 2.964
-2.411 3.887 7.037
-1.572 1.019 6.243
0.809 3.350 2.170
0.257 5.387 5.976
2.638 7.718 1.903
3.477 4.850 1.109
1.096 8.255 5.182
2.179 5.711 3.767
-0.202 7.393 7.840
3.926 1.704 0.905
1.546 2.664 4.978